Density functional theory data (PBE-GGA) for crystalline CdAuO2 at its relaxed geometry.

a = 6.707 Å, b = 6.707 Å, c = 3.217 Å
α = 90.00°, β = 90.00°, γ = 123.77°
Fractional coordinates of all 8 atoms:
Cd: 0.000 0.500 0.000
Cd: 0.500 0.000 0.000
Au: 0.000 0.000 0.500
Au: 0.500 0.500 0.500
O: 0.109 0.891 0.000
O: 0.323 0.677 0.500
O: 0.677 0.323 0.500
O: 0.891 0.109 0.000

Output
The calculation puts the total energy at -0.29825 Ry/atom. Its symmetry is Cmmm (65). The calculation puts the energy relative to the elements at -0.878 eV per atom. The magnetization comes out at 0.000 μB per atom.